Computed, not measured: a relaxed LaYS3 crystal at the r²SCAN level of DFT.

Structure (POSCAR):
```
LaYS3
1.0
4.026 0.000 0.000
0.000 11.134 -0.014
0.000 4.287 21.334
S Y La
24 8 8
direct
0.750 0.795 0.635
0.750 0.658 0.099
0.250 0.252 0.173
0.250 0.507 0.220
0.750 0.493 0.780
0.250 0.636 0.964
0.250 0.356 0.514
0.250 0.342 0.901
0.250 0.745 0.324
0.750 0.644 0.486
0.750 0.748 0.827
0.250 0.205 0.365
0.750 0.914 0.964
0.750 0.364 0.036
0.250 0.086 0.036
0.250 0.058 0.556
0.750 0.255 0.676
0.750 0.942 0.444
0.250 0.875 0.163
0.750 0.038 0.270
0.750 0.453 0.366
0.250 0.962 0.730
0.250 0.547 0.634
0.750 0.125 0.837
0.750 0.523 0.912
0.750 0.180 0.954
0.750 0.030 0.650
0.250 0.970 0.350
0.250 0.477 0.088
0.250 0.553 0.417
0.250 0.820 0.046
0.750 0.447 0.583
0.750 0.200 0.463
0.750 0.698 0.234
0.750 0.092 0.136
0.250 0.908 0.864
0.250 0.691 0.733
0.750 0.309 0.267
0.250 0.302 0.766
0.250 0.800 0.537
```

- calculated formation energy (eV per atom) = -2.4634
- M_tot (μB per formula unit) = 0.00
- SG = P2_1/m, No. 11
- energy (eV per formula unit) = -86.478

Computed, not measured: a relaxed La2Sb crystal at the r²SCAN level of DFT.

Structure (POSCAR):
```
La2Sb
1.0
4.500 -0.001 -1.116
-0.278 4.491 -1.116
0.040 0.043 9.786
La Sb
4 2
direct
0.500 0.000 0.000
0.320 0.320 0.639
0.680 0.680 0.361
0.000 0.500 0.000
0.863 0.863 0.726
0.137 0.137 0.274
```

- calculated formation energy (eV per atom) = -1.0792
- M_tot (μB per formula unit) = 0.50
- SG = I4/mmm, No. 139
- energy (eV per formula unit) = -88.434

Computed, not measured: a relaxed La5Sb3 crystal at the r²SCAN level of DFT.

Structure (POSCAR):
```
La5Sb3
1.0
0.000 0.000 -6.675
-4.794 -8.304 0.000
-4.794 8.304 0.000
La Sb
10 6
direct
0.750 0.745 0.745
0.500 0.333 0.667
0.250 0.745 0.000
0.250 0.000 0.745
0.500 0.667 0.333
0.000 0.667 0.333
0.750 0.255 0.000
0.250 0.255 0.255
0.750 0.000 0.255
0.000 0.333 0.667
0.250 0.383 0.000
0.250 0.000 0.382
0.750 0.617 0.000
0.750 0.383 0.383
0.250 0.617 0.618
0.750 0.000 0.617
```

- calculated formation energy (eV per atom) = -1.1816
- M_tot (μB per formula unit) = 1.54
- SG = P6_3/mcm, No. 193
- energy (eV per formula unit) = -235.295

Computed, not measured: a relaxed LaSb crystal at the r²SCAN level of DFT.

Structure (POSCAR):
```
LaSb
1.0
4.019 0.000 2.320
1.340 3.789 2.320
0.000 0.000 4.640
La Sb
1 1
direct
0.000 0.000 0.000
0.500 0.500 0.500
```

- calculated formation energy (eV per atom) = -1.5302
- M_tot (μB per formula unit) = 0.00
- SG = Fm-3m, No. 225
- energy (eV per formula unit) = -58.512

Mass density across the listed records, respectively: 4.5 6.7 6.6 6.1 Mg/m³.